No. 1
HfMg30BO31, optimized geometry, DFT PBE; M_tot = 0.048 μB per atom; SG = P4mm; final energy = -0.4422 Ry per atom; excess energy over the best structure of this formula in the dataset = 0.045 eV/f.u.
1.0
8.631 0.000 0.000
0.000 8.631 0.000
0.000 0.000 8.528
Hf Mg B O
1 30 1 31
Cartesian
4.315 4.315 8.493
4.315 0.000 8.459
0.000 4.315 8.459
0.000 0.000 4.202
4.315 0.000 4.263
0.000 4.315 4.263
4.315 4.315 4.254
2.010 2.010 8.513
6.621 2.010 8.513
2.010 6.621 8.513
6.621 6.621 8.513
2.137 2.137 4.238
6.494 2.137 4.238
2.137 6.494 4.238
6.494 6.494 4.238
2.247 0.000 2.082
6.384 0.000 2.082
2.120 4.315 2.149
6.511 4.315 2.149
2.087 0.000 6.396
6.544 0.000 6.396
2.078 4.315 6.336
6.553 4.315 6.336
0.000 2.247 2.082
4.315 2.120 2.149
0.000 6.384 2.082
4.315 6.511 2.149
0.000 2.087 6.396
4.315 2.078 6.336
0.000 6.544 6.396
4.315 6.553 6.336
0.000 0.000 1.821
4.315 0.000 2.125
0.000 4.315 2.125
4.315 4.315 2.073
0.000 0.000 6.211
4.315 0.000 6.342
0.000 4.315 6.342
4.315 4.315 6.406
2.208 2.208 2.103
6.423 2.208 2.103
2.208 6.423 2.103
6.423 6.423 2.103
2.163 2.163 6.376
6.468 2.163 6.376
2.163 6.468 6.376
6.468 6.468 6.376
2.350 0.000 8.481
6.281 0.000 8.481
2.227 4.315 8.497
6.404 4.315 8.497
2.203 0.000 4.233
6.428 0.000 4.233
2.184 4.315 4.247
6.447 4.315 4.247
0.000 2.350 8.481
4.315 2.227 8.497
0.000 6.281 8.481
4.315 6.404 8.497
0.000 2.203 4.233
4.315 2.184 4.247
0.000 6.428 4.233
4.315 6.447 4.247

***

No. 2
Sr2CuAg2S2O2, optimized geometry, DFT PBE; M_tot = 0.000 μB per atom; SG = I4/mmm; final energy = -0.3494 Ry per atom
1.0
3.696 -9.474 0.063
3.993 -7.619 5.425
-6.451 7.532 -2.249
Sr Cu Ag S O
2 1 2 2 2
Cartesian
4.508 -10.022 3.218
3.180 -7.070 2.270
0.000 0.000 0.000
0.693 -4.316 2.960
0.544 -5.244 0.279
6.480 -14.405 4.625
1.209 -2.688 0.863
-1.229 -0.043 1.588
-1.378 -0.971 -1.093

***

No. 3
Ba4IrO6, optimized geometry, DFT PBE; SG = R-3c; final energy = -0.4637 Ry per atom
1.0
-6.252 -1.586 -3.541
3.492 -5.162 -3.912
-1.652 -5.030 5.110
Ba Ir O
8 2 12
Cartesian
-4.897 -3.720 -1.184
-4.457 -6.699 1.323
-3.749 -5.853 -4.264
-3.309 -8.833 -1.757
-1.103 -2.944 -0.586
-0.663 -5.924 1.921
0.046 -5.078 -3.666
0.486 -8.057 -1.158
0.000 0.000 0.000
-2.206 -5.889 -1.171
-6.813 -5.451 0.200
-5.050 -3.239 -4.033
-4.220 -6.361 -1.541
-2.813 -4.680 0.438
-3.002 -5.520 3.576
-2.374 -4.262 -2.492
-2.038 -7.515 0.149
-1.599 -7.097 -2.781
-1.410 -6.258 -5.918
-0.191 -5.416 -0.802
0.639 -8.539 1.690
2.402 -6.326 -2.543

***

No. 4
Mg10B16Ir19, optimized geometry, DFT PBE; SG = I-43m; final energy = -0.5096 Ry per atom
1.0
7.438 -3.021 4.528
-0.791 9.114 1.126
-7.521 -4.170 3.318
Mg B Ir
10 16 19
Cartesian
2.309 2.117 1.964
-2.510 -1.392 1.107
-2.887 1.717 1.544
4.338 3.977 3.690
-0.582 1.281 5.978
-0.264 3.042 0.376
-5.425 3.227 2.900
2.483 -1.008 1.511
-0.054 -4.693 5.121
-0.029 -2.498 2.726
-3.786 5.081 2.254
-2.351 1.858 4.040
-5.988 0.733 2.971
-0.615 7.080 0.874
-0.195 0.429 2.003
-0.553 4.345 2.706
-2.497 -4.416 4.415
2.561 5.568 2.767
5.778 -2.347 3.518
-3.408 -1.291 3.637
-0.306 -1.157 4.886
-5.842 -3.239 2.578
2.400 -4.040 4.811
1.365 2.143 4.341
2.939 -0.804 4.150
5.255 1.597 3.881
3.671 -2.806 3.673
-5.241 -1.166 2.453
-2.119 -2.359 5.034
1.073 0.070 3.716
4.897 -0.388 3.274
1.710 2.917 6.269
-1.905 5.417 1.367
-3.112 2.547 5.879
0.818 5.626 1.587
-0.426 2.279 3.097
1.246 4.283 3.938
-3.742 -3.376 3.073
3.303 1.249 4.789
-1.651 -0.139 3.496
-2.494 3.995 3.635
-0.460 -1.365 6.976
1.621 -2.072 5.337
0.000 0.000 0.000
-4.177 0.674 4.183

***

No. 5
B9H11, optimized geometry, DFT PBE; SG = Pccn; final energy = -0.3647 Ry per atom; excess energy over the best structure of this formula in the dataset = 0.000 eV/f.u.
1.0
10.904 0.000 0.000
0.000 11.157 0.000
0.000 0.000 12.472
B H
72 88
Cartesian
5.383 10.344 5.847
5.383 6.391 0.389
0.069 4.765 6.625
0.069 0.813 12.083
5.521 0.813 6.625
5.521 4.765 12.083
10.835 6.391 5.847
10.835 10.344 0.389
6.570 10.442 4.479
6.570 6.293 1.757
9.787 4.863 7.993
9.787 0.715 10.715
4.335 0.715 7.993
4.335 4.863 10.715
1.117 6.293 4.479
1.117 10.442 1.757
8.341 11.125 4.943
8.341 5.610 1.293
8.016 5.547 7.529
8.016 0.031 11.179
2.564 0.031 7.529
2.564 5.547 11.179
2.888 5.610 4.943
2.888 11.125 1.293
8.653 0.504 6.621
8.653 5.074 12.087
7.704 6.083 5.851
7.704 10.652 0.385
2.252 10.652 5.851
2.252 6.083 0.385
3.200 5.074 6.621
3.200 0.504 12.087
7.297 1.570 7.031
7.297 4.008 11.677
9.060 7.149 5.441
9.060 9.586 0.795
3.608 9.586 5.441
3.608 7.149 0.795
1.844 4.008 7.031
1.844 1.570 11.677
5.438 0.626 4.830
5.438 4.953 1.406
0.014 6.204 7.642
0.014 10.531 11.066
5.466 10.531 7.642
5.466 6.204 11.066
10.890 4.953 4.830
10.890 0.626 1.406
7.065 0.955 4.261
7.065 4.623 1.975
9.292 6.533 8.210
9.292 10.202 10.497
3.840 10.202 8.210
3.840 6.533 10.497
1.613 4.623 4.261
1.613 0.955 1.975
8.143 1.676 5.472
8.143 3.903 0.764
8.213 7.254 7.000
8.213 9.481 11.708
2.761 9.481 7.000
2.761 7.254 11.708
2.691 3.903 5.472
2.691 1.676 0.764
6.379 1.938 5.588
6.379 3.640 0.648
9.977 7.516 6.884
9.977 9.219 11.824
4.525 9.219 6.884
4.525 7.516 11.824
0.927 3.640 5.588
0.927 1.938 0.648
8.367 10.458 6.090
8.367 6.277 0.146
7.990 4.880 6.382
7.990 0.699 12.326
2.538 0.699 6.382
2.538 4.880 12.326
2.915 6.277 6.090
2.915 10.458 0.146
7.680 0.397 7.522
7.680 5.181 11.186
8.677 5.976 4.950
8.677 10.759 1.286
3.225 10.759 4.950
3.225 5.976 1.286
2.227 5.181 7.522
2.227 0.397 11.186
6.537 9.685 5.556
6.537 7.050 0.680
9.820 4.107 6.916
9.820 1.471 11.791
4.367 1.471 6.916
4.367 4.107 11.791
1.085 7.050 5.556
1.085 9.685 0.680
6.465 9.698 3.553
6.465 7.037 2.683
9.891 4.120 8.919
9.891 1.459 9.789
4.439 1.459 8.919
4.439 4.120 9.789
1.013 7.037 3.553
1.013 9.698 2.683
9.259 10.705 4.310
9.259 6.030 1.926
7.097 5.127 8.162
7.097 0.452 10.546
1.645 0.452 8.162
1.645 5.127 10.546
3.807 6.030 4.310
8.856 2.571 5.134
3.807 10.705 1.926
9.683 5.180 11.500
6.674 5.976 5.264
6.674 10.759 0.972
1.222 10.759 5.264
1.222 5.976 0.972
4.230 5.180 7.208
4.230 0.398 11.500
7.364 2.323 7.953
7.364 3.255 10.755
8.992 7.901 4.519
8.992 8.834 1.717
3.540 8.834 4.519
3.540 7.901 1.717
1.912 3.255 7.953
1.912 2.323 10.755
4.519 0.931 4.137
4.519 4.647 2.099
0.933 6.510 8.335
0.933 10.225 10.373
6.385 10.225 8.335
6.385 6.510 10.373
9.971 4.647 4.137
9.971 0.931 2.099
7.197 1.282 3.121
7.197 4.296 3.115
9.160 6.861 9.351
9.160 9.874 9.357
3.708 9.874 9.351
3.708 6.861 9.357
1.745 4.296 3.121
1.745 1.282 3.115
0.493 3.048 0.723
0.493 2.530 5.513
4.959 8.626 11.749
4.959 8.109 6.959
10.411 8.109 11.749
10.411 8.626 6.959
5.945 2.530 0.723
5.945 3.048 5.513
3.404 2.571 1.102
3.404 3.007 5.134
2.049 8.149 11.370
2.049 8.586 7.337
7.501 8.586 11.370
7.501 8.149 7.337
8.856 3.007 1.102
9.683 0.398 7.208

***

No. 6
AlSb, optimized geometry, DFT PBE; SG = F-43m; maximum piezoelectric response = 0.098 C/m²; final energy = -0.3011 Ry per atom
1.0
4.121 0.336 -1.527
1.311 -2.511 -3.377
0.748 1.824 -3.942
Al Sb
1 1
Cartesian
0.000 0.000 0.000
4.635 -0.263 -6.635

***

No. 7
Y2CN2O2, optimized geometry, DFT PBE; M_tot = 0.000 μB per atom; SG = P6_3/mmc; final energy = -0.6705 Ry per atom
1.0
1.872 -3.242 0.000
1.872 3.242 0.000
0.000 0.000 16.471
Y C N O
4 2 4 4
Cartesian
1.872 -1.081 6.774
1.872 1.081 15.010
1.872 -1.081 1.462
1.872 1.081 9.697
0.000 0.000 4.118
0.000 0.000 12.353
0.000 0.000 11.118
0.000 0.000 2.882
0.000 0.000 13.589
0.000 0.000 5.353
1.872 -1.081 15.619
1.872 1.081 0.853
1.872 1.081 7.383
1.872 -1.081 9.088

***

No. 8
FeSi2Se4, optimized geometry, DFT PBE; M_tot = 0.546 μB per atom; SG = P-1; final energy = -0.3686 Ry per atom
1.0
-0.257 3.545 0.600
-7.646 -2.634 1.059
-1.241 -1.148 6.290
Fe Si Se
1 2 4
Cartesian
0.000 0.000 0.000
-1.829 1.178 3.061
-7.315 -1.414 4.888
-2.745 -0.842 3.824
-1.912 1.550 0.837
-6.399 0.606 4.125
-7.232 -1.786 7.112

***

No. 9
SmH3, optimized geometry, DFT PBE; SG = P-3c1; final energy = -0.3152 Ry per atom
1.0
-4.057 -0.053 -5.108
2.561 -5.586 2.189
-5.291 -0.775 4.211
Sm H
6 18
Cartesian
-6.658 -0.617 -0.229
-4.473 -2.481 2.175
-2.271 -4.285 4.610
-2.315 -3.932 -0.882
-0.460 -2.076 1.790
-2.690 -0.212 -0.668
-3.608 -6.155 4.307
-5.703 -4.529 1.974
-4.015 -2.649 4.442
-2.563 -2.277 0.833
-0.522 -4.108 3.060
-2.304 -5.785 0.512
-3.179 -0.259 -3.015
-1.084 -1.885 -0.681
-2.773 -3.765 -3.150
-4.225 -4.137 0.459
-6.265 -2.306 -1.768
-4.484 -0.629 0.780
-3.968 -0.582 3.158
-1.323 -0.194 1.053
-6.193 -2.533 0.780
-3.547 -2.146 -1.326
-0.595 -3.881 0.513
-3.240 -4.268 2.618

***

No. 10
Mg14CrGa, optimized geometry, DFT PBE; M_tot = 0.288 μB per atom; SG = Amm2; final energy = -0.1575 Ry per atom
1.0
6.257 -0.003 0.000
-3.132 5.424 0.000
0.000 0.000 10.266
Mg Cr Ga
14 1 1
Cartesian
0.005 1.811 6.416
-1.563 4.522 6.416
3.141 1.805 1.283
3.122 1.805 6.416
1.568 4.530 1.283
1.558 4.514 6.416
1.544 0.891 3.772
1.544 0.891 9.060
-0.022 3.604 3.772
-0.022 3.604 9.060
4.710 0.911 3.824
4.710 0.911 9.008
3.144 3.623 3.823
3.144 3.623 9.009
-0.008 1.803 1.283
-1.570 4.518 1.283

***

No. 11
In2GeB, optimized geometry, DFT PBE; M_tot = 0.001 μB per atom; SG = Fm-3m; final energy = -0.2413 Ry per atom
1.0
0.000 3.416 3.416
3.416 0.000 3.416
3.416 3.416 0.000
In Ge B
2 1 1
Cartesian
5.124 5.124 5.124
1.708 1.708 1.708
3.416 3.416 3.416
0.000 0.000 0.000